Record 1
First-principles (r²SCAN) data for an optimized crystal structure of LaCu, as listed in the Materials Project database.

Unit cell a=7.5756 b=4.6218 c=5.6217 alpha=90.00 beta=90.00 gamma=90.00
With the nearest neighbours (Å) after each atom.
Space group Pnma (No. 62)
Inequivalent atoms, fractional coordinates:
La 0.1761 0.2500 0.1057 [4 per cell]  7 Cu 2.94-3.24
Cu 0.0320 0.2500 0.6040 [4 per cell]  2 Cu 2.63, 1 La 2.94

Values from the calculation:
The magnetization comes out at 0.000 μB per atom. The formation energy comes out at -0.34 eV/f.u.


Record 2
First-principles (r²SCAN) data for an optimized crystal structure of LaCu4, as listed in the Materials Project database.

Unit cell a=8.8372 b=8.8372 c=19.0494 alpha=90.00 beta=90.00 gamma=90.00
With the nearest neighbours (Å) after each atom.
Space group I-4m2 (No. 119)
Inequivalent atoms, fractional coordinates:
La 0.0000 0.0000 0.0000 [2 per cell]  8 Cu 2.93-3.08
La 0.0000 0.0000 0.2063 [4 per cell]  14 Cu 3.01-3.28
La 0.0000 0.2447 0.3742 [8 per cell]  16 Cu 2.99-3.28
La 0.0000 0.5000 0.5511 [4 per cell]  16 Cu 3.04-3.27
Cu 0.0000 0.1563 0.5410 [8 per cell]  6 Cu 2.50-2.76
Cu 0.0000 0.2570 0.6694 [8 per cell]  8 Cu 2.53-2.65
Cu 0.0000 0.2824 0.0810 [8 per cell]  5 Cu 2.46-2.69
Cu 0.0000 0.3436 0.2100 [8 per cell]  6 Cu 2.48-2.76
Cu 0.0000 0.3574 0.7941 [8 per cell]  10 Cu 2.41-2.59
Cu 0.1625 0.2363 0.8787 [16 per cell]  5 Cu 2.41-2.60
Cu 0.2443 0.2557 0.7500 [8 per cell]  8 Cu 2.49-2.65
Cu 0.2464 0.2464 0.0000 [8 per cell]  6 Cu 2.43-2.69

Values from the calculation:
The magnetization comes out at 0.000 μB per atom. The formation energy comes out at -0.72 eV/f.u.


Record 3
First-principles (r²SCAN) data for an optimized crystal structure of LaCu13, as listed in the Materials Project database.

Unit cell a=11.4690 b=11.4690 c=11.4690 alpha=90.00 beta=90.00 gamma=90.00
With the nearest neighbours (Å) after each atom.
Space group Fm-3c (No. 226)
Inequivalent atoms, fractional coordinates:
La 0.2500 0.2500 0.2500 [8 per cell]  24 Cu 3.35
Cu 0.0000 0.0000 0.0000 [8 per cell]  12 Cu 2.46
Cu 0.0000 0.1169 0.1796 [96 per cell]  10 Cu 2.44-2.68

Values from the calculation:
The magnetization comes out at 0.000 μB per atom. The formation energy comes out at -1.11 eV/f.u.


Record 4
First-principles (r²SCAN) data for an optimized crystal structure of LaCu6, as listed in the Materials Project database.

Unit cell a=5.0891 b=10.1112 c=8.0948 alpha=90.00 beta=92.86 gamma=90.00
With the nearest neighbours (Å) after each atom.
Space group P2_1/c (No. 14)
Inequivalent atoms, fractional coordinates:
La 0.2326 0.0631 0.2378 [4 per cell]  12 Cu 2.89-3.22
Cu 0.0008 0.6937 0.9318 [4 per cell]  8 Cu 2.42-2.63
Cu 0.2500 0.5159 0.0970 [4 per cell]  6 Cu 2.42-2.58
Cu 0.2507 0.7453 0.6820 [4 per cell]  7 Cu 2.42-2.61
Cu 0.2633 0.1417 0.8477 [4 per cell]  9 Cu 2.55-2.83
Cu 0.2931 0.5992 0.4387 [4 per cell]  5 Cu 2.42-2.61
Cu 0.4912 0.1879 0.5605 [4 per cell]  9 Cu 2.42-2.69

Values from the calculation:
The magnetization comes out at 0.000 μB per atom. The formation energy comes out at -0.80 eV/f.u.


Record 5
First-principles (r²SCAN) data for an optimized crystal structure of LaMgCu2, as listed in the Materials Project database.

Unit cell a=4.5669 b=4.5669 c=9.1845 alpha=90.00 beta=90.00 gamma=120.00
With the nearest neighbours (Å) after each atom.
Space group P6_3/mmc (No. 194)
Inequivalent atoms, fractional coordinates:
La 0.3333 0.6667 0.2500 [2 per cell]  8 Cu 2.88-3.14
Mg 0.0000 0.0000 0.0000 [2 per cell]  6 Cu 2.70
Cu 0.3333 0.6667 0.5634 [4 per cell]  3 Mg 2.70, 1 La 2.88, 3 Cu 2.88

Values from the calculation:
The magnetization comes out at 0.000 μB per atom. The formation energy comes out at -0.59 eV/f.u.


Record 6
First-principles (r²SCAN) data for an optimized crystal structure of La2MgCu2, as listed in the Materials Project database.

Unit cell a=7.9285 b=7.9285 c=3.9080 alpha=90.00 beta=90.00 gamma=90.00
With the nearest neighbours (Å) after each atom.
Space group P4/mbm (No. 127)
Inequivalent atoms, fractional coordinates:
La 0.1721 0.3279 0.0000 [4 per cell]  6 Cu 3.04-3.06
Mg 0.0000 0.0000 0.5000 [2 per cell]  4 Cu 3.16, 8 La 3.53
Cu 0.1204 0.6204 0.5000 [4 per cell]  1 Cu 2.70

Values from the calculation:
The magnetization comes out at 0.000 μB per atom. The formation energy comes out at -0.90 eV/f.u.


Record 7
First-principles (r²SCAN) data for an optimized crystal structure of LaMg2Cu9, as listed in the Materials Project database.

Unit cell a=5.0383 b=5.0383 c=16.0407 alpha=90.00 beta=90.00 gamma=120.00
With the nearest neighbours (Å) after each atom.
Space group P6_3/mmc (No. 194)
Inequivalent atoms, fractional coordinates:
La 0.3333 0.6667 0.2500 [2 per cell]  18 Cu 2.91-3.25
Mg 0.3333 0.6667 0.0298 [4 per cell]  12 Cu 2.83-2.95, 3 Mg 3.06
Cu 0.0000 0.0000 0.0000 [2 per cell]  6 Cu 2.44
Cu 0.0000 0.0000 0.2500 [2 per cell]  6 Cu 2.52
Cu 0.1677 0.3354 0.6220 [12 per cell]  7 Cu 2.44-2.53
Cu 0.3333 0.6667 0.7500 [2 per cell]  6 Cu 2.51

Values from the calculation:
The magnetization comes out at 0.000 μB per atom. The formation energy comes out at -1.79 eV/f.u.


Record 8
First-principles (r²SCAN) data for an optimized crystal structure of La4MnCu6S10, as listed in the Materials Project database.

Unit cell a=6.5888 b=7.2963 c=8.8171 alpha=83.57 beta=74.26 gamma=89.88
With the nearest neighbours (Å) after each atom.
Space group P-1 (No. 2)
Inequivalent atoms, fractional coordinates:
La 0.0581 0.4105 0.2472 [2 per cell]  7 S 2.88-3.07
La 0.2763 0.0738 0.8270 [2 per cell]  7 S 2.88-3.11
Mn 0.5000 0.5000 0.5000 [1 per cell]  6 S 2.56-2.76
Cu 0.2233 0.7964 0.3446 [2 per cell]  4 S 2.31-2.49, 1 Cu 2.53
Cu 0.3318 0.0955 0.4259 [2 per cell]  4 S 2.26-2.39
Cu 0.4445 0.6627 0.9505 [2 per cell]  4 S 2.32-2.43
S 0.0904 0.7294 0.0002 [2 per cell]  1 Cu 2.32
S 0.1283 0.2949 0.5739 [2 per cell]  2 Cu 2.26-2.31
S 0.3184 0.0923 0.1683 [2 per cell]  3 Cu 2.30-2.49
S 0.3195 0.8079 0.5810 [2 per cell]  3 Cu 2.35-2.39, 1 Mn 2.62
S 0.4714 0.5856 0.2165 [2 per cell]  3 Cu 2.38-2.43, 1 Mn 2.56

Values from the calculation:
The magnetization comes out at 0.238 μB per atom. The formation energy comes out at -30.05 eV/f.u.


Record 9
First-principles (r²SCAN) data for an optimized crystal structure of LaCu3Ni2, as listed in the Materials Project database.

Unit cell a=5.0102 b=5.0102 c=4.0475 alpha=90.00 beta=90.00 gamma=120.00
With the nearest neighbours (Å) after each atom.
Space group P6/mmm (No. 191)
Inequivalent atoms, fractional coordinates:
La 0.0000 0.0000 0.0000 [1 per cell]  6 Ni 2.89, 12 Cu 3.22
Cu 0.0000 0.5000 0.5000 [3 per cell]  4 Ni 2.49, 4 Cu 2.51
Ni 0.3333 0.6667 0.0000 [2 per cell]  6 Cu 2.49

Values from the calculation:
The magnetization comes out at 0.000 μB per atom. The formation energy comes out at -1.24 eV/f.u.


Record 10
First-principles (r²SCAN) data for an optimized crystal structure of LaCu2Ni3, as listed in the Materials Project database.

Unit cell a=5.0414 b=5.0414 c=3.9278 alpha=90.00 beta=90.00 gamma=120.00
With the nearest neighbours (Å) after each atom.
Space group P6/mmm (No. 191)
Inequivalent atoms, fractional coordinates:
La 0.0000 0.0000 0.0000 [1 per cell]  6 Cu 2.91, 12 Ni 3.20
Cu 0.3333 0.6667 0.0000 [2 per cell]  6 Ni 2.44
Ni 0.0000 0.5000 0.5000 [3 per cell]  4 Cu 2.44, 4 Ni 2.52

Values from the calculation:
The magnetization comes out at 0.000 μB per atom. The formation energy comes out at -1.33 eV/f.u.


Record 11
First-principles (r²SCAN) data for an optimized crystal structure of La6CuSb15, as listed in the Materials Project database.

Unit cell a=16.1335 b=19.7210 c=4.3143 alpha=90.00 beta=105.44 gamma=90.00
With the nearest neighbours (Å) after each atom.
Space group Cm (No. 8)
Inequivalent atoms, fractional coordinates:
La 0.0000 0.1318 0.0000 [4 per cell]  1 Cu 3.26, 9 Sb 3.32-3.49
La 0.1356 0.3251 0.1342 [4 per cell]  8 Sb 3.27-3.44
La 0.2751 0.1356 0.2747 [4 per cell]  9 Sb 3.30-3.44
Cu 0.3730 0.5000 0.8779 [2 per cell]  4 Sb 2.60-2.72
Sb 0.0426 0.5000 0.0396 [2 per cell]  5 Sb 2.97-3.10
Sb 0.1370 0.2003 0.6368 [4 per cell]  6 La 3.27-3.32
Sb 0.1435 0.0000 0.1451 [2 per cell]  3 Sb 3.00-3.36
Sb 0.2338 0.5000 0.2331 [2 per cell]  5 Sb 2.97-3.16, 2 Cu 3.04-3.08
Sb 0.2776 0.0000 0.7776 [2 per cell]  2 Sb 3.00
Sb 0.2811 0.3897 0.7787 [4 per cell]  1 Cu 2.60
Sb 0.3533 0.2978 0.3524 [4 per cell]  4 Sb 3.03-3.08
Sb 0.4238 0.2018 0.9212 [4 per cell]  4 Sb 3.05-3.08, 2 La 3.34-3.42
Sb 0.4781 0.5000 0.4797 [2 per cell]  2 Cu 2.70-2.72
Sb 0.4885 0.1042 0.4876 [4 per cell]  4 Sb 3.05-3.10, 1 La 3.38

Values from the calculation:
The magnetization comes out at 0.000 μB per atom. The formation energy comes out at -18.66 eV/f.u.


Record 12
First-principles (r²SCAN) data for an optimized crystal structure of La2CuSi3, as listed in the Materials Project database.

Unit cell a=4.1303 b=4.1303 c=8.6984 alpha=90.00 beta=90.00 gamma=120.00
With the nearest neighbours (Å) after each atom.
Space group P-6m2 (No. 187)
Inequivalent atoms, fractional coordinates:
La 0.0000 0.0000 0.2462 [2 per cell]  9 Si 3.21-3.25, 3 Cu 3.21
Cu 0.3333 0.6667 0.0000 [1 per cell]  3 Si 2.38
Si 0.3333 0.6667 0.5000 [1 per cell]  3 Si 2.38
Si 0.6667 0.3333 0.0000 [1 per cell]  3 Cu 2.38
Si 0.6667 0.3333 0.5000 [1 per cell]  3 Si 2.38

Values from the calculation:
The magnetization comes out at 0.000 μB per atom. The formation energy comes out at -4.33 eV/f.u.


Record 13
First-principles (r²SCAN) data for an optimized crystal structure of LaCu5Sn, as listed in the Materials Project database.

Unit cell a=8.3509 b=5.0609 c=10.6465 alpha=90.00 beta=90.00 gamma=90.00
With the nearest neighbours (Å) after each atom.
Space group Pnma (No. 62)
Inequivalent atoms, fractional coordinates:
La 0.2440 0.2500 0.0593 [4 per cell]  6 Cu 2.91-3.14
Cu 0.0656 0.7500 0.1083 [4 per cell]  4 Cu 2.51-2.58, 1 Sn 2.71
Cu 0.0698 0.5007 0.3120 [8 per cell]  7 Cu 2.50-2.56, 1 Sn 2.78
Cu 0.0793 0.2500 0.5161 [4 per cell]  5 Cu 2.52-2.56
Cu 0.1780 0.2500 0.7440 [4 per cell]  7 Cu 2.50-2.58
Sn 0.1410 0.7500 0.8609 [4 per cell]  8 Cu 2.71-2.86

Values from the calculation:
The magnetization comes out at 0.000 μB per atom. The formation energy comes out at -1.82 eV/f.u.


Record 14
First-principles (r²SCAN) data for an optimized crystal structure of LaCuSn, as listed in the Materials Project database.

Unit cell a=4.5616 b=4.5616 c=8.3671 alpha=90.00 beta=90.00 gamma=120.00
With the nearest neighbours (Å) after each atom.
Space group P6_3/mmc (No. 194)
Inequivalent atoms, fractional coordinates:
La 0.0000 0.0000 0.0000 [2 per cell]  6 Sn 3.36, 6 Cu 3.36
Cu 0.3333 0.6667 0.2500 [2 per cell]  3 Sn 2.63
Sn 0.3333 0.6667 0.7500 [2 per cell]  3 Cu 2.63

Values from the calculation:
The magnetization comes out at 0.000 μB per atom. The formation energy comes out at -2.02 eV/f.u.


Record 15
First-principles (r²SCAN) data for an optimized crystal structure of LiCu2O2, as listed in the Materials Project database.

Unit cell a=5.6653 b=2.8485 c=12.3573 alpha=90.00 beta=90.00 gamma=90.00
With the nearest neighbours (Å) after each atom.
Space group Pnma (No. 62)
Inequivalent atoms, fractional coordinates:
Li 0.1292 0.2500 0.0719 [4 per cell]  5 O 2.03-2.09
Cu 0.1213 0.2500 0.4026 [4 per cell]  4 O 1.97-1.98
Cu 0.1213 0.2500 0.7567 [4 per cell]  2 O 1.85-1.87
O 0.1172 0.2500 0.6070 [4 per cell]  3 Cu 1.85-1.97, 2 Li 2.07
O 0.1362 0.2500 0.9075 [4 per cell]  3 Cu 1.87-1.98, 3 Li 2.03-2.09

Values from the calculation:
The magnetization comes out at 0.200 μB per atom. The formation energy comes out at -5.68 eV/f.u.


Record 16
First-principles (r²SCAN) data for an optimized crystal structure of LiCu2O2, as listed in the Materials Project database.

Unit cell a=5.6757 b=5.6757 c=12.3655 alpha=90.00 beta=90.00 gamma=90.00
With the nearest neighbours (Å) after each atom.
Space group P4_2/nmc (No. 137, origin choice 2)
Inequivalent atoms, fractional coordinates:
Li 0.0049 0.2500 0.1779 [8 per cell]  5 O 2.04-2.08
Cu 0.0020 0.7500 0.1529 [8 per cell]  4 O 1.96-1.98
Cu 0.0042 0.7500 0.5067 [8 per cell]  2 O 1.85-1.86
O 0.0093 0.2500 0.3427 [8 per cell]  3 Cu 1.86-1.98, 3 Li 2.04-2.08
O 0.0095 0.7500 0.3570 [8 per cell]  3 Cu 1.85-1.96, 2 Li 2.07

Values from the calculation:
The magnetization comes out at 0.201 μB per atom. The formation energy comes out at -5.68 eV/f.u.